Record 1
A plane-wave DFT calculation with PBE was carried out for a geometry-optimized TbAlAu structure. Values from VASP.

Quantum ESPRESSO input file:
```
&SYSTEM
  ibrav = 0, nat = 12, ntyp = 3
/
ATOMIC_SPECIES
Tb 158.93 Tb.upf
Al 26.98 Al.upf
Au 196.97 Au.upf
CELL_PARAMETERS angstrom
4.4661 0.0000 0.0000
0.0000 7.2494 0.0000
0.0000 0.0000 7.8302
ATOMIC_POSITIONS crystal
Tb 0.7500 0.4904 0.8077
Tb 0.7500 0.9904 0.6923
Al 0.7500 0.3340 0.4249
Au 0.7500 0.7132 0.3999
Al 0.7500 0.8340 0.0751
Tb 0.2500 0.0096 0.3077
Al 0.2500 0.6660 0.5751
Au 0.2500 0.2868 0.6001
Au 0.2500 0.7868 0.8999
Al 0.2500 0.1660 0.9249
Tb 0.2500 0.5096 0.1923
Au 0.7500 0.2132 0.1001
```

ΔE_f, eV per atom: -0.79
Space group: Pnma, No. 62
Electronic total energy, eV/atom: -4.675

---

Record 2
A plane-wave DFT calculation with PBE was carried out for a geometry-optimized ThAl2Au2 structure. Values from VASP.

Quantum ESPRESSO input file:
```
&SYSTEM
  ibrav = 0, nat = 10, ntyp = 3
/
ATOMIC_SPECIES
Th 232.04 Th.upf
Al 26.98 Al.upf
Au 196.97 Au.upf
CELL_PARAMETERS angstrom
-3.3269 0.5170 2.8577
2.7094 -1.0117 3.3373
2.4796 10.1221 1.0554
ATOMIC_POSITIONS crystal
Th 0.0000 0.5000 0.2480
Al 0.0000 0.0000 0.5000
Al 0.5000 0.0000 0.1307
Au 0.5000 0.5000 0.0000
Au 0.0000 0.5000 0.6301
Al 0.5000 0.5000 0.5000
Al 0.0000 0.5000 0.8693
Th 0.5000 0.0000 0.7520
Au 0.0000 0.0000 0.0000
Au 0.5000 0.0000 0.3699
```

ΔE_f, eV per atom: -0.71
Space group: P4/nmm, No. 129
Electronic total energy, eV/atom: -5.000

---

Record 3
A plane-wave DFT calculation with PBE was carried out for a geometry-optimized UAlAu structure. Values from VASP.

Quantum ESPRESSO input file:
```
&SYSTEM
  ibrav = 0, nat = 6, ntyp = 3
/
ATOMIC_SPECIES
U 238.03 U.upf
Al 26.98 Al.upf
Au 196.97 Au.upf
CELL_PARAMETERS angstrom
-3.1906 2.7122 3.7714
-4.8932 -0.2822 -2.7815
3.4092 -4.1832 1.6242
ATOMIC_POSITIONS crystal
U 0.2453 0.5000 0.7453
Al 0.6625 0.1625 0.5000
Au 0.1744 0.1744 0.0000
Au 0.8256 0.8256 0.0000
U 0.7547 0.5000 0.2547
Al 0.3375 0.8375 0.5000
```

ΔE_f, eV per atom: -0.31
Space group: Immm, No. 71
Electronic total energy, eV/atom: -6.415

---

Record 4
A plane-wave DFT calculation with PBE was carried out for a geometry-optimized YAlAu2 structure. Values from VASP.

Quantum ESPRESSO input file:
```
&SYSTEM
  ibrav = 0, nat = 4, ntyp = 3
/
ATOMIC_SPECIES
Au 196.97 Au.upf
Al 26.98 Al.upf
Y 88.91 Y.upf
CELL_PARAMETERS angstrom
-1.8483 1.5634 4.1840
-4.5856 1.5162 0.2001
-3.3210 -2.6434 2.3130
ATOMIC_POSITIONS crystal
Au 0.7500 0.7500 0.7500
Au 0.2500 0.2500 0.2500
Al 0.5000 0.5000 0.5000
Y 0.0000 0.0000 0.0000
```

ΔE_f, eV per atom: -0.71
Space group: Fm-3m, No. 225
Electronic total energy, eV/atom: -4.898

---

Record 5
A plane-wave DFT calculation with PBE was carried out for a geometry-optimized Zr3AlAu2 structure. Values from VASP.

Quantum ESPRESSO input file:
```
&SYSTEM
  ibrav = 0, nat = 24, ntyp = 3
/
ATOMIC_SPECIES
Au 196.97 Au.upf
Zr 91.22 Zr.upf
Al 26.98 Al.upf
CELL_PARAMETERS angstrom
0.0000 6.2219 6.2219
6.2219 0.0000 6.2219
6.2219 6.2219 0.0000
ATOMIC_POSITIONS crystal
Au 0.4129 0.7614 0.4129
Zr 0.1970 0.8030 0.8030
Zr 0.4470 0.0530 0.4470
Zr 0.8030 0.1970 0.8030
Al 0.1250 0.6250 0.6250
Zr 0.1970 0.8030 0.1970
Zr 0.8030 0.8030 0.1970
Au 0.7614 0.4129 0.4129
Au 0.4129 0.4129 0.7614
Zr 0.1970 0.1970 0.8030
Zr 0.4470 0.4470 0.0530
Au 0.4129 0.4129 0.4129
Zr 0.0530 0.4470 0.0530
Al 0.6250 0.6250 0.6250
Zr 0.0530 0.4470 0.4470
Zr 0.0530 0.0530 0.4470
Au 0.4886 0.8371 0.8371
Zr 0.8030 0.1970 0.1970
Au 0.8371 0.8371 0.4886
Au 0.8371 0.8371 0.8371
Au 0.8371 0.4886 0.8371
Al 0.6250 0.1250 0.6250
Al 0.6250 0.6250 0.1250
Zr 0.4470 0.0530 0.0530
```

ΔE_f, eV per atom: -0.47
Space group: Fd-3m, No. 227
Electronic total energy, eV/atom: -6.460

---

Record 6
A plane-wave DFT calculation with PBE was carried out for a geometry-optimized Al23B50 structure. Values from VASP.

Quantum ESPRESSO input file:
```
&SYSTEM
  ibrav = 0, nat = 73, ntyp = 2
/
ATOMIC_SPECIES
B 10.81 B.upf
Al 26.98 Al.upf
CELL_PARAMETERS angstrom
6.1167 0.0000 0.0000
-1.1263 10.0886 0.0000
-0.9770 -1.1894 10.2620
ATOMIC_POSITIONS crystal
B 0.5795 0.9061 0.3666
Al 0.1955 0.6029 0.9952
B 0.3400 0.8541 0.4339
Al 0.7674 0.2789 0.3924
Al 0.6429 0.9172 0.6062
B 0.6169 0.0280 0.9652
Al 0.0000 0.0000 0.0000
Al 0.9607 0.8807 0.4005
B 0.5006 0.3337 0.8338
B 0.3801 0.3064 0.3666
B 0.7806 0.1735 0.0336
Al 0.5578 0.6796 0.4016
B 0.4577 0.2135 0.2328
Al 0.8433 0.5265 0.6060
B 0.6199 0.6936 0.6334
B 0.2603 0.9478 0.5658
Al 0.2816 0.8410 0.1973
Al 0.1567 0.4735 0.3940
B 0.7023 0.2665 0.1669
B 0.7408 0.3847 0.7677
B 0.1003 0.4670 0.1669
B 0.3831 0.9720 0.0348
B 0.7783 0.5079 0.3657
Al 0.5326 0.5661 0.8003
Al 0.0393 0.1193 0.5995
B 0.5421 0.4534 0.4341
Al 0.1209 0.3618 0.8022
B 0.5423 0.7865 0.7672
B 0.0989 0.1356 0.8316
B 0.5801 0.5726 0.0343
B 0.8197 0.2928 0.6335
B 0.9798 0.1059 0.3663
B 0.8997 0.5330 0.8331
Al 0.6098 0.7996 0.9925
B 0.4994 0.6663 0.1662
B 0.0202 0.8941 0.6337
B 0.1394 0.2534 0.4335
B 0.3402 0.1872 0.7660
B 0.6598 0.8128 0.2340
B 0.2194 0.8265 0.9664
Al 0.3571 0.0828 0.3938
B 0.0205 0.2267 0.9668
B 0.7397 0.0522 0.4342
B 0.1395 0.5865 0.7665
Al 0.4674 0.4339 0.1997
B 0.8605 0.4135 0.2335
Al 0.3073 0.9541 0.8020
B 0.9795 0.7733 0.0332
B 0.4205 0.0939 0.6334
B 0.9402 0.6540 0.4325
B 0.2592 0.6153 0.2323
B 0.0598 0.3460 0.5675
B 0.8606 0.7466 0.5665
B 0.2217 0.4921 0.6343
B 0.9011 0.8644 0.1684
Al 0.8791 0.6382 0.1978
B 0.0600 0.0127 0.2331
Al 0.3902 0.2004 0.0075
Al 0.7184 0.1590 0.8027
B 0.2977 0.7335 0.8331
B 0.6600 0.1459 0.5661
B 0.1803 0.7072 0.3665
Al 0.2326 0.7211 0.6076
B 0.8202 0.6257 0.9660
Al 0.6927 0.0459 0.1980
B 0.2989 0.0661 0.1663
Al 0.4422 0.3204 0.5984
Al 0.8045 0.3971 0.0048
B 0.4579 0.5466 0.5659
B 0.1798 0.3743 0.0340
B 0.7011 0.9339 0.8337
B 0.4199 0.4274 0.9657
B 0.9400 0.9873 0.7669
```

ΔE_f, eV per atom: -0.05
Space group: P-1, No. 2
Electronic total energy, eV/atom: -5.810

---

Record 7
A plane-wave DFT calculation with PBE was carried out for a geometry-optimized AlB2 structure. Values from VASP.

Quantum ESPRESSO input file:
```
&SYSTEM
  ibrav = 0, nat = 3, ntyp = 2
/
ATOMIC_SPECIES
B 10.81 B.upf
Al 26.98 Al.upf
CELL_PARAMETERS angstrom
-1.5035 -2.6041 0.0000
-1.5035 2.6041 0.0000
0.0000 0.0000 -3.2744
ATOMIC_POSITIONS crystal
B 0.6667 0.3333 0.5000
B 0.3333 0.6667 0.5000
Al 0.0000 0.0000 0.0000
```

ΔE_f, eV per atom: -0.04
Space group: P6/mmm, No. 191
Electronic total energy, eV/atom: -5.744

---

Record 8
A plane-wave DFT calculation with PBE was carried out for a geometry-optimized Ba4NaAl2B8Cl3O18 structure. Values from VASP.

Quantum ESPRESSO input file:
```
&SYSTEM
  ibrav = 0, nat = 72, ntyp = 6
/
ATOMIC_SPECIES
O 16.00 O.upf
Ba 137.33 Ba.upf
Al 26.98 Al.upf
Cl 35.45 Cl.upf
B 10.81 B.upf
Na 22.99 Na.upf
CELL_PARAMETERS angstrom
-0.9532 0.4504 6.8411
-11.9599 1.8063 -1.7854
-1.9015 -12.0662 0.5296
ATOMIC_POSITIONS crystal
O 0.3687 0.7020 0.5635
O 0.9700 0.8018 0.8018
Ba 0.7213 0.7779 0.4829
O 0.3687 0.4365 0.2980
O 0.1215 0.2016 0.7984
Al 0.7136 0.7975 0.7975
Cl 0.9489 0.0000 0.5000
Al 0.2136 0.7025 0.2975
O 0.8687 0.0635 0.7980
O 0.2946 0.7537 0.7537
O 0.1244 0.2610 0.5718
B 0.0867 0.2671 0.2671
B 0.0867 0.7329 0.7329
O 0.6244 0.2390 0.0718
Cl 0.4489 0.0000 0.5000
O 0.6244 0.9282 0.7610
O 0.8687 0.2020 0.9365
B 0.9179 0.1844 0.8156
B 0.6823 0.9657 0.2335
Cl 0.7812 0.5000 0.5000
B 0.1823 0.4657 0.2665
O 0.9700 0.1982 0.1982
O 0.5466 0.1143 0.7435
Na 0.3939 0.5000 0.5000
O 0.8687 0.7980 0.0635
Cl 0.4489 0.5000 0.0000
O 0.2946 0.2463 0.2463
Na 0.8939 0.0000 0.0000
O 0.8687 0.9365 0.2020
B 0.5867 0.2329 0.7671
Ba 0.2213 0.7221 0.9829
O 0.3687 0.5635 0.7020
O 0.1244 0.7390 0.4282
O 0.6244 0.0718 0.2390
O 0.5466 0.7435 0.1143
O 0.1244 0.4282 0.7390
O 0.4700 0.6982 0.3018
Cl 0.9489 0.5000 0.0000
O 0.6215 0.2984 0.2984
O 0.6215 0.7016 0.7016
Ba 0.2213 0.9829 0.7221
Al 0.7136 0.2025 0.2025
O 0.4700 0.3018 0.6982
B 0.1823 0.5343 0.7335
O 0.5466 0.8857 0.2565
O 0.0466 0.6143 0.7565
Ba 0.2213 0.2779 0.0171
Ba 0.7213 0.5171 0.2221
Al 0.2136 0.2975 0.7025
B 0.4179 0.6844 0.6844
Cl 0.2812 0.0000 0.0000
Ba 0.2213 0.0171 0.2779
O 0.7946 0.7463 0.2537
O 0.0466 0.2435 0.3857
B 0.5867 0.7671 0.2329
B 0.9179 0.8156 0.1844
B 0.4179 0.3156 0.3156
O 0.6244 0.7610 0.9282
O 0.0466 0.7565 0.6143
Ba 0.7213 0.4829 0.7779
B 0.6823 0.7665 0.0343
O 0.5466 0.2565 0.8857
O 0.7946 0.2537 0.7463
O 0.1215 0.7984 0.2016
B 0.1823 0.7335 0.5343
O 0.0466 0.3857 0.2435
O 0.1244 0.5718 0.2610
O 0.3687 0.2980 0.4365
B 0.6823 0.2335 0.9657
Ba 0.7213 0.2221 0.5171
B 0.1823 0.2665 0.4657
B 0.6823 0.0343 0.7665
```

ΔE_f, eV per atom: -3.03
Space group: P4_2nm, No. 102
Electronic total energy, eV/atom: -7.257

---

Record 9
A plane-wave DFT calculation with PBE was carried out for a geometry-optimized BaAlBO3F2 structure. Values from VASP.

Quantum ESPRESSO input file:
```
&SYSTEM
  ibrav = 0, nat = 16, ntyp = 5
/
ATOMIC_SPECIES
Al 26.98 Al.upf
B 10.81 B.upf
O 16.00 O.upf
F 19.00 F.upf
Ba 137.33 Ba.upf
CELL_PARAMETERS angstrom
2.4505 2.5290 3.4626
-2.5038 -4.0762 1.2272
7.8260 -5.3075 -1.6622
ATOMIC_POSITIONS crystal
Al 0.3333 0.6667 0.2500
B 0.3333 0.6667 0.7500
O 0.3846 0.0553 0.2500
F 0.3333 0.6667 0.4443
F 0.6667 0.3333 0.9443
Ba 0.0000 0.0000 0.5000
O 0.0553 0.3846 0.7500
O 0.9447 0.3292 0.2500
Ba 0.0000 0.0000 0.0000
B 0.6667 0.3333 0.2500
Al 0.6667 0.3333 0.7500
F 0.3333 0.6667 0.0557
O 0.6154 0.6708 0.7500
F 0.6667 0.3333 0.5557
O 0.6708 0.6154 0.2500
O 0.3292 0.9447 0.7500
```

ΔE_f, eV per atom: -3.54
Largest piezoelectric modulus, C/m²: 0.480
Space group: P-62c, No. 190
Electronic total energy, eV/atom: -7.046

---

Record 10
A plane-wave DFT calculation with PBE was carried out for a geometry-optimized BaAlBO3F2 structure. Values from VASP.

Quantum ESPRESSO input file:
```
&SYSTEM
  ibrav = 0, nat = 16, ntyp = 5
/
ATOMIC_SPECIES
F 19.00 F.upf
O 16.00 O.upf
Ba 137.33 Ba.upf
B 10.81 B.upf
Al 26.98 Al.upf
CELL_PARAMETERS angstrom
2.4684 -4.2753 0.0000
2.4684 4.2753 0.0000
0.0000 0.0000 9.6319
ATOMIC_POSITIONS crystal
F 0.6667 0.3333 0.5564
O 0.6154 0.6708 0.7500
F 0.3333 0.6667 0.0564
O 0.9446 0.6154 0.2500
O 0.3846 0.3292 0.2500
Ba 0.0000 0.0000 0.0000
B 0.6667 0.3333 0.2500
Al 0.3333 0.6667 0.2500
B 0.3333 0.6667 0.7500
Ba 0.0000 0.0000 0.5000
O 0.0554 0.3846 0.7500
O 0.3292 0.9446 0.7500
F 0.3333 0.6667 0.4436
O 0.6708 0.0554 0.2500
Al 0.6667 0.3333 0.7500
F 0.6667 0.3333 0.9436
```

ΔE_f, eV per atom: -3.54
Space group: P6_3/m, No. 176
Electronic total energy, eV/atom: -7.046

---

Record 11
A plane-wave DFT calculation with PBE was carried out for a geometry-optimized Ba3Al2B10H4O23 structure. Values from VASP.

Quantum ESPRESSO input file:
```
&SYSTEM
  ibrav = 0, nat = 84, ntyp = 5
/
ATOMIC_SPECIES
B 10.81 B.upf
O 16.00 O.upf
Al 26.98 Al.upf
H 1.01 H.upf
Ba 137.33 Ba.upf
CELL_PARAMETERS angstrom
4.8225 6.0945 22.6736
-1.5020 2.7970 23.2356
5.9439 -3.7256 1.4066
ATOMIC_POSITIONS crystal
B 0.2720 0.0524 0.6260
O 0.2347 0.3409 0.6908
O 0.7655 0.9021 0.0648
B 0.8994 0.4372 0.6939
B 0.6749 0.3614 0.8733
Al 0.9090 0.7542 0.4502
B 0.9906 0.5668 0.2616
O 0.4299 0.8939 0.6792
H 0.9779 0.4269 0.4575
O 0.9776 0.8396 0.2632
H 0.4072 0.6580 0.8696
B 0.8733 0.0905 0.6749
B 0.8886 0.5751 0.1595
O 0.8153 0.1081 0.8774
O 0.8745 0.6283 0.3221
O 0.0648 0.2676 0.7655
B 0.1716 0.1337 0.3527
O 0.4248 0.9852 0.9558
O 0.6158 0.2942 0.2648
Al 0.3634 0.7998 0.4958
B 0.6260 0.0496 0.2720
O 0.2616 0.6354 0.7534
B 0.6939 0.9694 0.8994
O 0.9091 0.0153 0.5165
O 0.1419 0.4347 0.0508
O 0.0594 0.7418 0.9055
O 0.6792 0.9970 0.4299
Ba 0.7258 0.4624 0.7812
O 0.8761 0.8106 0.6914
O 0.9558 0.6342 0.4248
O 0.6958 0.1032 0.1751
H 0.5920 0.8428 0.1847
B 0.0690 0.9884 0.6832
O 0.5165 0.5592 0.9091
O 0.2632 0.9196 0.9776
O 0.6146 0.9884 0.9003
O 0.3221 0.1752 0.8745
B 0.1163 0.0784 0.9079
O 0.7073 0.2927 0.7073
O 0.3479 0.4845 0.9824
B 0.2806 0.5561 0.8128
O 0.8774 0.1992 0.8153
H 0.8231 0.2721 0.1123
B 0.2616 0.1810 0.9906
B 0.1976 0.9780 0.2004
H 0.1123 0.7925 0.8231
O 0.9824 0.1852 0.3479
B 0.6832 0.2594 0.0690
H 0.8696 0.0653 0.4072
O 0.6280 0.5586 0.4394
O 0.9055 0.2932 0.0594
O 0.6914 0.6220 0.8761
O 0.7534 0.3497 0.2616
B 0.2004 0.6240 0.1976
O 0.2648 0.8252 0.6158
O 0.4104 0.2724 0.3304
H 0.1847 0.3804 0.5920
Al 0.4502 0.8866 0.9090
O 0.6217 0.3755 0.0748
O 0.2240 0.0749 0.1468
B 0.3527 0.3421 0.1716
O 0.5082 0.1906 0.9568
O 0.1751 0.0260 0.6958
H 0.4575 0.1377 0.9779
O 0.0508 0.3726 0.1419
Ba 0.7812 0.0306 0.7258
B 0.8128 0.3506 0.2806
O 0.4394 0.3739 0.6280
Ba 0.4912 0.5088 0.4912
O 0.2530 0.5708 0.3561
O 0.9003 0.4966 0.6146
O 0.6908 0.7335 0.2347
O 0.9568 0.3445 0.5082
O 0.1468 0.5542 0.2240
O 0.0748 0.9279 0.6217
O 0.9573 0.5427 0.9573
O 0.3304 0.9868 0.4104
Ba 0.7876 0.5242 0.2194
B 0.9079 0.8973 0.1163
Ba 0.7412 0.7588 0.7412
Ba 0.2194 0.4688 0.7876
Al 0.4958 0.3410 0.3634
O 0.3561 0.8201 0.2530
B 0.1595 0.3767 0.8886
```

ΔE_f, eV per atom: -2.85
Space group: Fdd2, No. 43
Electronic total energy, eV/atom: -7.409